1.
# CaZn3Ni2 r²SCAN relaxed
# VASP energy   -9.925 eV/atom
# Magnetization   0.0 μB/f.u.
data_CaZn3Ni2
_chemical_formula_sum 'Ca3 Zn9 Ni6'
_space_group_name_H-M_alt 'P 6/m m m'
_space_group_IT_number 191
_space_group_name_Hall '-P 6 2'
_cell_length_a 8.9268
_cell_length_b 8.9268
_cell_length_c 4.0264
_cell_angle_alpha 90.00
_cell_angle_beta 90.00
_cell_angle_gamma 120.00
loop_
_atom_site_label
_atom_site_fract_x
_atom_site_fract_y
_atom_site_fract_z
Ca1 0.0000 0.0000 0.0000
Ca2 0.3333 0.6667 0.5000
Zn1 0.0000 0.2920 0.5000
Zn2 0.0000 0.5000 0.0000
Ni1 0.1816 0.3632 0.0000

=====

2.
# Ca2Os2O7 r²SCAN relaxed
# VASP energy   -16.702 eV/atom
# Magnetization   0.1 μB/f.u.
data_Ca2Os2O7
_chemical_formula_sum 'Ca8 Os8 O28'
_space_group_name_H-M_alt 'I m m a'
_space_group_IT_number 74
_space_group_name_Hall '-I 2b 2'
_cell_length_a 7.211
_cell_length_b 10.169
_cell_length_c 7.432
_cell_angle_alpha 90.00
_cell_angle_beta 90.00
_cell_angle_gamma 90.00
loop_
_atom_site_label
_atom_site_fract_x
_atom_site_fract_y
_atom_site_fract_z
Ca1 0.000 0.000 0.000
Ca2 0.250 0.250 0.250
Os1 0.000 0.000 0.500
Os2 0.250 0.250 0.750
O1 0.000 0.096 0.269
O2 0.000 0.250 0.850
O3 0.203 0.118 0.566

=====

3.
# Ca2P6O17 r²SCAN relaxed
# VASP energy   -9.376 eV/atom
# Magnetization   0.0 μB/f.u.
data_Ca2P6O17
_chemical_formula_sum 'Ca4 P12 O34'
_space_group_name_H-M_alt 'P 1 21 1'
_space_group_IT_number 4
_space_group_name_Hall 'P 2yb'
_cell_length_a 5.758
_cell_length_b 18.262
_cell_length_c 7.655
_cell_angle_alpha 90.00
_cell_angle_beta 111.23
_cell_angle_gamma 90.00
loop_
_atom_site_label
_atom_site_fract_x
_atom_site_fract_y
_atom_site_fract_z
Ca1 0.092 0.000 0.107
Ca2 0.093 0.645 0.605
P1 0.277 0.405 0.331
P2 0.280 0.241 0.829
P3 0.313 0.394 0.726
P4 0.315 0.251 0.225
P5 0.479 0.043 0.559
P6 0.490 0.603 0.051
O1 0.071 0.436 0.175
O2 0.072 0.211 0.672
O3 0.102 0.410 0.785
O4 0.107 0.232 0.284
O5 0.200 0.385 0.500
O6 0.203 0.260 0.999
O7 0.230 0.059 0.414
O8 0.236 0.585 0.915
O9 0.288 0.088 0.995
O10 0.292 0.566 0.468
O11 0.399 0.335 0.284
O12 0.405 0.311 0.786
O13 0.453 0.709 0.718
O14 0.462 0.939 0.217
O15 0.474 0.068 0.753
O16 0.486 0.689 0.098
O17 0.486 0.955 0.592

=====

4.
# CaPbO3 r²SCAN relaxed
# VASP energy   -18.202 eV/atom
# Magnetization   0.0 μB/f.u.
data_CaPbO3
_chemical_formula_sum 'Ca4 Pb4 O12'
_space_group_name_H-M_alt 'P n m a'
_space_group_IT_number 62
_space_group_name_Hall '-P 2ac 2n'
_cell_length_a 5.928
_cell_length_b 8.178
_cell_length_c 5.678
_cell_angle_alpha 90.00
_cell_angle_beta 90.00
_cell_angle_gamma 90.00
loop_
_atom_site_label
_atom_site_fract_x
_atom_site_fract_y
_atom_site_fract_z
Ca1 0.061 0.250 0.018
Pb1 0.000 0.000 0.500
O1 0.060 0.750 0.374
O2 0.195 0.566 0.810

=====

5.
# CaRh2O4 r²SCAN relaxed
# VASP energy   -12.989 eV/atom
# Magnetization   0.0 μB/f.u.
data_CaRh2O4
_chemical_formula_sum 'Ca4 Rh8 O16'
_space_group_name_H-M_alt 'P n m a'
_space_group_IT_number 62
_space_group_name_Hall '-P 2ac 2n'
_cell_length_a 9.037
_cell_length_b 3.123
_cell_length_c 10.788
_cell_angle_alpha 90.00
_cell_angle_beta 90.00
_cell_angle_gamma 90.00
loop_
_atom_site_label
_atom_site_fract_x
_atom_site_fract_y
_atom_site_fract_z
Ca1 0.235 0.250 0.161
Rh1 0.053 0.250 0.384
Rh2 0.091 0.250 0.902
O1 0.040 0.750 0.789
O2 0.088 0.250 0.573
O3 0.118 0.750 0.027
O4 0.193 0.750 0.333

=====

6.
# CaRuO3 r²SCAN relaxed
# VASP energy   -12.165 eV/atom
# Magnetization   2.0 μB/f.u.
data_CaRuO3
_chemical_formula_sum 'Ca4 Ru4 O12'
_space_group_name_H-M_alt 'P n m a'
_space_group_IT_number 62
_space_group_name_Hall '-P 2ac 2n'
_cell_length_a 5.548
_cell_length_b 7.670
_cell_length_c 5.352
_cell_angle_alpha 90.00
_cell_angle_beta 90.00
_cell_angle_gamma 90.00
loop_
_atom_site_label
_atom_site_fract_x
_atom_site_fract_y
_atom_site_fract_z
Ca1 0.059 0.250 0.015
Ru1 0.000 0.000 0.500
O1 0.026 0.750 0.406
O2 0.203 0.547 0.802

=====

7.
# Sr3CaRu2O9 r²SCAN relaxed
# VASP energy   -12.825 eV/atom
# Magnetization   6.0 μB/f.u.
data_Sr3CaRu2O9
_chemical_formula_sum 'Sr12 Ca4 Ru8 O36'
_space_group_name_H-M_alt 'P 1 21/c 1'
_space_group_IT_number 14
_space_group_name_Hall '-P 2ybc'
_cell_length_a 14.046
_cell_length_b 5.730
_cell_length_c 9.883
_cell_angle_alpha 90.00
_cell_angle_beta 90.04
_cell_angle_gamma 90.00
loop_
_atom_site_label
_atom_site_fract_x
_atom_site_fract_y
_atom_site_fract_z
Sr1 0.083 0.032 0.333
Sr2 0.252 0.537 0.507
Sr3 0.412 0.033 0.667
Ca1 0.000 0.000 0.000
Ca2 0.500 0.000 0.000
Ru1 0.169 0.502 0.172
Ru2 0.331 0.005 0.338
O1 0.071 0.197 0.604
O2 0.094 0.733 0.627
O3 0.116 0.013 0.846
O4 0.226 0.513 0.978
O5 0.250 0.215 0.215
O6 0.274 0.714 0.239
O7 0.382 0.232 0.924
O8 0.405 0.698 0.947
O9 0.428 0.013 0.204

=====

8.
# CaS3O10 r²SCAN relaxed
# VASP energy   -8.219 eV/atom
# Magnetization   0.0 μB/f.u.
data_CaS3O10
_chemical_formula_sum 'Ca4 S12 O40'
_space_group_name_H-M_alt 'P 1 21/c 1'
_space_group_IT_number 14
_space_group_name_Hall '-P 2ybc'
_cell_length_a 8.411
_cell_length_b 9.022
_cell_length_c 12.900
_cell_angle_alpha 90.00
_cell_angle_beta 128.88
_cell_angle_gamma 90.00
loop_
_atom_site_label
_atom_site_fract_x
_atom_site_fract_y
_atom_site_fract_z
Ca1 0.227 0.224 0.024
S1 0.057 0.076 0.215
S2 0.295 0.612 0.140
S3 0.353 0.665 0.502
O1 0.007 0.576 0.675
O2 0.090 0.656 0.078
O3 0.122 0.159 0.153
O4 0.165 0.105 0.353
O5 0.177 0.653 0.348
O6 0.317 0.564 0.570
O7 0.327 0.043 0.636
O8 0.333 0.671 0.030
O9 0.449 0.687 0.261
O10 0.462 0.157 0.980

=====

9.
# CaSeO3 r²SCAN relaxed
# VASP energy   -9.881 eV/atom
# Magnetization   0.0 μB/f.u.
data_CaSeO3
_chemical_formula_sum 'Ca4 Se4 O12'
_space_group_name_H-M_alt 'P n m a'
_space_group_IT_number 62
_space_group_name_Hall '-P 2ac 2n'
_cell_length_a 6.429
_cell_length_b 8.342
_cell_length_c 5.388
_cell_angle_alpha 90.00
_cell_angle_beta 90.00
_cell_angle_gamma 90.00
loop_
_atom_site_label
_atom_site_fract_x
_atom_site_fract_y
_atom_site_fract_z
Ca1 0.000 0.000 0.000
Se1 0.027 0.250 0.483
O1 0.079 0.250 0.795
O2 0.171 0.092 0.372

=====

10.
# CaSeO3 r²SCAN relaxed
# VASP energy   -9.903 eV/atom
# Magnetization   0.0 μB/f.u.
data_CaSeO3
_chemical_formula_sum 'Ca4 Se4 O12'
_space_group_name_H-M_alt 'P 1 21/c 1'
_space_group_IT_number 14
_space_group_name_Hall '-P 2ybc'
_cell_length_a 6.393
_cell_length_b 6.806
_cell_length_c 8.181
_cell_angle_alpha 90.00
_cell_angle_beta 127.02
_cell_angle_gamma 90.00
loop_
_atom_site_label
_atom_site_fract_x
_atom_site_fract_y
_atom_site_fract_z
Ca1 0.151 0.128 0.376
Se1 0.355 0.663 0.596
O1 0.085 0.686 0.980
O2 0.212 0.028 0.929
O3 0.398 0.583 0.812